--- w ---
A geometry-optimized NiH20Se2N2O14 structure, computed with PBE with a Hubbard U.

Cell lengths 6.5501, 12.8436, 9.3285 Å; angles 90.00, 105.87, 90.00 degrees
Closest atoms and distances in Å follow each position.
Element x y z (fractional)
Ni  0.0000  0.0000  0.0000  6 O 2.06-2.11
Ni  0.0000  0.5000  0.5000  6 O 2.06-2.11
H  0.0129  0.1800  0.8661  1 O 0.99
H  0.0129  0.3200  0.3661  1 O 0.99
H  0.0538  0.5954  0.7615  1 O 1.00
H  0.0538  0.9046  0.2615  1 O 1.00
H  0.0934  0.1210  0.2468  1 O 0.99
H  0.0934  0.3790  0.7468  1 O 0.99
H  0.2032  0.1697  0.5741  1 N 1.04
H  0.2032  0.3303  0.0741  1 N 1.04
H  0.3097  0.0838  0.2141  1 O 0.99
H  0.3097  0.4162  0.7141  1 O 0.99
H  0.3157  0.6408  0.5247  1 O 1.00
H  0.3157  0.8592  0.0247  1 O 1.00
H  0.3236  0.5581  0.4007  1 O 0.99
H  0.3236  0.9419  0.9007  1 O 0.99
H  0.3795  0.0776  0.6609  1 N 1.05
H  0.3795  0.4224  0.1609  1 N 1.05
H  0.4030  0.2002  0.7305  1 N 1.04
H  0.4030  0.2998  0.2305  1 N 1.04
H  0.4531  0.1787  0.5645  1 N 1.04
H  0.4531  0.3213  0.0645  1 N 1.04
H  0.5469  0.6787  0.9355  1 N 1.04
H  0.5469  0.8213  0.4355  1 N 1.04
H  0.5970  0.7002  0.7695  1 N 1.04
H  0.5970  0.7998  0.2695  1 N 1.04
H  0.6205  0.5776  0.8391  1 N 1.05
H  0.6205  0.9224  0.3391  1 N 1.05
H  0.6764  0.0581  0.0993  1 O 0.99
H  0.6764  0.4419  0.5993  1 O 0.99
H  0.6843  0.1408  0.9753  1 O 1.00
H  0.6843  0.3592  0.4753  1 O 1.00
H  0.6903  0.5838  0.2859  1 O 0.99
H  0.6903  0.9162  0.7859  1 O 0.99
H  0.7968  0.6697  0.9259  1 N 1.04
H  0.7968  0.8303  0.4259  1 N 1.04
H  0.9066  0.6210  0.2532  1 O 0.99
H  0.9066  0.8790  0.7532  1 O 0.99
H  0.9462  0.0954  0.7385  1 O 1.00
H  0.9462  0.4046  0.2385  1 O 1.00
H  0.9871  0.6800  0.6339  1 O 0.99
H  0.9871  0.8200  0.1339  1 O 0.99
Se  0.2584  0.6357  0.0876  4 O 1.66-1.69
Se  0.2584  0.8643  0.5876  4 O 1.66-1.69
Se  0.7416  0.1357  0.4124  4 O 1.66-1.69
Se  0.7416  0.3643  0.9124  4 O 1.66-1.69
N  0.3596  0.1566  0.6334  4 H 1.04-1.05
N  0.3596  0.3434  0.1334  4 H 1.04-1.05
N  0.6404  0.6566  0.8666  4 H 1.04-1.05
N  0.6404  0.8434  0.3666  4 H 1.04-1.05
O  0.0310  0.6813  0.1157  1 Se 1.69, 2 H 1.82-1.87
O  0.0310  0.8187  0.6157  1 Se 1.69, 2 H 1.82-1.87
O  0.0408  0.1074  0.8412  2 H 0.99-1.00
O  0.0408  0.3926  0.3412  2 H 0.99-1.00
O  0.1613  0.1052  0.1667  2 H 0.99
O  0.1613  0.3948  0.6667  2 H 0.99
O  0.2121  0.5686  0.9298  1 Se 1.66, 1 H 1.66
O  0.2121  0.9314  0.4298  1 Se 1.66, 1 H 1.66
O  0.2850  0.5667  0.4958  2 H 0.99-1.00
O  0.2850  0.9333  0.9958  2 H 0.99-1.00
O  0.3890  0.5581  0.2284  1 Se 1.68, 2 H 1.77-1.85
O  0.3890  0.9419  0.7284  1 Se 1.68, 2 H 1.77-1.85
O  0.4207  0.7368  0.0805  1 Se 1.69, 1 H 1.74
O  0.4207  0.7632  0.5805  1 Se 1.69, 1 H 1.74
O  0.5793  0.2368  0.4195  1 Se 1.69, 1 H 1.74
O  0.5793  0.2632  0.9195  1 Se 1.69, 1 H 1.74
O  0.6110  0.0581  0.2716  1 Se 1.68, 2 H 1.77-1.85
O  0.6110  0.4419  0.7716  1 Se 1.68, 2 H 1.77-1.85
O  0.7150  0.0667  0.0042  2 H 0.99-1.00
O  0.7150  0.4333  0.5042  2 H 0.99-1.00
O  0.7879  0.0686  0.5702  1 Se 1.66, 1 H 1.66
O  0.7879  0.4314  0.0702  1 Se 1.66, 1 H 1.66
O  0.8387  0.6052  0.3333  2 H 0.99
O  0.8387  0.8948  0.8333  2 H 0.99
O  0.9592  0.6074  0.6588  2 H 0.99-1.00
O  0.9592  0.8926  0.1588  2 H 0.99-1.00
O  0.9690  0.1813  0.3843  1 Se 1.69, 2 H 1.82-1.87
O  0.9690  0.3187  0.8843  1 Se 1.69, 2 H 1.82-1.87

M_tot: 0.051 μB per atom
Theoretical density: 2150 kg/m3



--- x ---
A geometry-optimized NiH20Se2N2O14 structure, computed with PBE with a Hubbard U.

Cell lengths 7.3450, 14.5020, 9.5532 Å; angles 90.00, 104.94, 90.00 degrees
Closest atoms and distances in Å follow each position.
Element x y z (fractional)
Ni  0.0000  0.0000  0.0000  4 O 1.84-2.01
Ni  0.0000  0.5000  0.5000  4 O 1.84-2.01
H  0.0289  0.0430  0.3858  1 H 0.75
H  0.0289  0.4570  0.8858  1 H 0.75
H  0.0623  0.7006  0.4916  1 O 1.03
H  0.0623  0.7994  0.9916  1 O 1.03
H  0.0639  0.1244  0.1661  1 O 0.99
H  0.0639  0.3756  0.6661  1 O 0.99
H  0.0702  0.5275  0.1491  1 H 0.75
H  0.0702  0.9725  0.6491  1 H 0.75
H  0.1140  0.6002  0.8592  1 O 0.98
H  0.1140  0.8998  0.3592  1 O 0.98
H  0.1897  0.1684  0.5774  1 N 1.04
H  0.1897  0.3316  0.0774  1 N 1.04
H  0.3050  0.2088  0.2853  1 H 2.21, 1 O 2.28
H  0.3050  0.2912  0.7853  1 H 2.21, 1 O 2.28
H  0.3838  0.5406  0.3240  1 O 0.97
H  0.3838  0.9594  0.8240  1 O 0.97
H  0.4013  0.1575  0.5526  1 N 1.03
H  0.4013  0.3425  0.0526  1 N 1.03
H  0.4037  0.0355  0.7098  1 O 1.01
H  0.4037  0.4645  0.2098  1 O 1.01
H  0.5963  0.5355  0.7902  1 O 1.01
H  0.5963  0.9645  0.2902  1 O 1.01
H  0.5987  0.6575  0.9474  1 N 1.03
H  0.5987  0.8425  0.4474  1 N 1.03
H  0.6162  0.0406  0.1760  1 O 0.97
H  0.6162  0.4594  0.6760  1 O 0.97
H  0.6950  0.7088  0.2147  1 H 2.21, 1 O 2.28
H  0.6950  0.7912  0.7147  1 H 2.21, 1 O 2.28
H  0.8103  0.6684  0.9226  1 N 1.04
H  0.8103  0.8316  0.4226  1 N 1.04
H  0.8860  0.1002  0.6408  1 O 0.98
H  0.8860  0.3998  0.1408  1 O 0.98
H  0.9298  0.0275  0.3509  1 H 0.75
H  0.9298  0.4725  0.8509  1 H 0.75
H  0.9361  0.6244  0.3339  1 O 0.99
H  0.9361  0.8756  0.8339  1 O 0.99
H  0.9377  0.2006  0.0084  1 O 1.03
H  0.9377  0.2994  0.5084  1 O 1.03
H  0.9711  0.5430  0.1142  1 H 0.75
H  0.9711  0.9570  0.6142  1 H 0.75
Se  0.2797  0.6789  0.0684  2 O 1.65-1.81
Se  0.2797  0.8211  0.5684  2 O 1.65-1.81
Se  0.7203  0.1789  0.4316  2 O 1.65-1.81
Se  0.7203  0.3211  0.9316  2 O 1.65-1.81
N  0.3103  0.1281  0.6065  2 H 1.03-1.04
N  0.3103  0.3719  0.1065  2 H 1.03-1.04
N  0.6897  0.6281  0.8935  2 H 1.03-1.04
N  0.6897  0.8719  0.3935  2 H 1.03-1.04
O  0.0501  0.6046  0.4071  1 H 0.99
O  0.0501  0.8954  0.9071  1 H 0.99
O  0.0519  0.7344  0.0319  1 H 1.03
O  0.0519  0.7656  0.5319  1 H 1.03
O  0.2474  0.6166  0.8944  1 H 0.98
O  0.2474  0.8834  0.3944  1 H 0.98
O  0.2618  0.0457  0.0095  1 O 1.24
O  0.2618  0.4543  0.5095  1 O 1.24
O  0.2790  0.1288  0.9833  1 O 1.24
O  0.2790  0.3712  0.4833  1 O 1.24
O  0.4325  0.7434  0.5449  1 Se 1.65
O  0.4325  0.7566  0.0449  1 Se 1.65
O  0.4576  0.5245  0.2562  2 H 0.97-1.01
O  0.4576  0.9755  0.7562  2 H 0.97-1.01
O  0.5424  0.0245  0.2438  2 H 0.97-1.01
O  0.5424  0.4755  0.7438  2 H 0.97-1.01
O  0.5675  0.2434  0.9551  1 Se 1.65
O  0.5675  0.2566  0.4551  1 Se 1.65
O  0.7210  0.6288  0.5167  1 O 1.24
O  0.7210  0.8712  0.0167  1 O 1.24
O  0.7382  0.5457  0.4905  1 O 1.24
O  0.7382  0.9543  0.9905  1 O 1.24
O  0.7526  0.1166  0.6056  1 H 0.98
O  0.7526  0.3834  0.1056  1 H 0.98
O  0.9481  0.2344  0.4681  1 H 1.03
O  0.9481  0.2656  0.9681  1 H 1.03
O  0.9499  0.1046  0.0929  1 H 0.99
O  0.9499  0.3954  0.5929  1 H 0.99

M_tot: 0.205 μB per atom
Theoretical density: 1651 kg/m3



Name the least stable of them. x.